# 1
First-principles (PBE) data for a relaxed MgNb2O5 crystal, as listed in Materials Project.

Summary:
For the total energy, the calculation gives -63.84 eV per cell. As for the energy relative to the lowest polymorph listed for this composition: 167.1 meV/atom. As for the space group: No. 12. The value obtained for the spin magnetization is 0.00 μB/cell.

Lattice parameters (Å, degrees): 7.2233 7.2233 4.0380 90.84 90.84 29.73
Closest atoms and distances in Å follow each position.
Fractional positions:
1 Mg 0.0000 0.0000 0.0000  8 O 2.48-2.74
2 Nb 0.3558 0.3558 0.4905  5 O 1.99-2.06
3 Nb 0.6442 0.6442 0.5095  5 O 1.99-2.06
4 O 0.1956 0.1956 0.5158  2 Nb 1.99
5 O 0.3824 0.3824 0.9944  2 Nb 2.04-2.06
6 O 0.5000 0.5000 0.5000  2 Nb 2.01
7 O 0.6176 0.6176 0.0056  2 Nb 2.04-2.06
8 O 0.8044 0.8044 0.4842  2 Nb 1.99

---

# 2
First-principles (PBE) data for a relaxed ZnCl2 crystal, as listed in Materials Project.

Summary:
As for the largest piezoelectric modulus: 0.130 C/m2. For the total energy, the calculation gives -33.59 eV per cell. As for the space group: No. 33.

Lattice parameters (Å, degrees): 6.5759 8.0950 6.3577 90.00 90.00 90.00
Closest atoms and distances in Å follow each position.
Fractional positions:
1 Zn 0.0765 0.1249 0.0000  4 Cl 2.30-2.31
2 Zn 0.4235 0.6249 0.5000  4 Cl 2.30-2.31
3 Zn 0.5765 0.3751 0.0000  4 Cl 2.30-2.31
4 Zn 0.9235 0.8751 0.5000  4 Cl 2.30-2.31
5 Cl 0.0631 0.1124 0.6376  2 Zn 2.30-2.31
6 Cl 0.0907 0.6408 0.6112  2 Zn 2.30
7 Cl 0.4093 0.1408 0.1112  2 Zn 2.30
8 Cl 0.4369 0.6124 0.1376  2 Zn 2.30-2.31
9 Cl 0.5631 0.3876 0.6376  2 Zn 2.30-2.31
10 Cl 0.5907 0.8592 0.6112  2 Zn 2.30
11 Cl 0.9093 0.3592 0.1112  2 Zn 2.30
12 Cl 0.9369 0.8876 0.1376  2 Zn 2.30-2.31

---

# 3
First-principles (PBE) data for a relaxed YInCu4 crystal, as listed in Materials Project.

Summary:
For the total energy, the calculation gives -27.24 eV per cell. As for the space group: No. 216.

Lattice parameters (Å, degrees): 5.1211 5.1211 5.1211 60.00 60.00 60.00
Closest atoms and distances in Å follow each position.
Fractional positions:
1 Y 0.0000 0.0000 0.0000  12 Cu 3.00, 4 In 3.14
2 In 0.7500 0.7500 0.7500  12 Cu 3.00, 4 Y 3.14
3 Cu 0.3753 0.3753 0.3753  6 Cu 2.55-2.57
4 Cu 0.3753 0.3753 0.8741  6 Cu 2.55-2.57
5 Cu 0.3753 0.8741 0.3753  6 Cu 2.55-2.57
6 Cu 0.8741 0.3753 0.3753  6 Cu 2.55-2.57

---

# 4
First-principles (PBE) data for a relaxed SmSi2Os2 crystal, as listed in Materials Project.

Summary:
For the total energy, the calculation gives -41.59 eV per cell. As for the space group: No. 139.

Lattice parameters (Å, degrees): 5.7410 5.7410 5.7410 137.18 137.18 62.15
Closest atoms and distances in Å follow each position.
Fractional positions:
1 Sm 0.0000 0.0000 0.0000  8 Si 3.23, 8 Os 3.23
2 Si 0.3700 0.3700 0.0000  4 Os 2.40, 1 Si 2.56
3 Si 0.6300 0.6300 0.0000  4 Os 2.40, 1 Si 2.56
4 Os 0.2500 0.7500 0.5000  4 Si 2.40
5 Os 0.7500 0.2500 0.5000  4 Si 2.40

---

# 5
First-principles (PBE) data for a relaxed Pb5SO8 crystal, as listed in Materials Project.

Summary:
For the total energy, the calculation gives -321.27 eV per cell. As for the space group: No. 14.

Lattice parameters (Å, degrees): 7.4850 12.0059 11.9155 90.00 90.94 90.00
Closest atoms and distances in Å follow each position.
Fractional positions:
1 Pb 0.1083 0.2414 0.3879  3 O 2.27-2.34
2 Pb 0.1083 0.2586 0.8879  3 O 2.27-2.34
3 Pb 0.1232 0.5896 0.8930  4 O 2.37-2.48
4 Pb 0.1232 0.9104 0.3930  4 O 2.37-2.48
5 Pb 0.1387 0.5834 0.3713  3 O 2.23-2.49
6 Pb 0.1387 0.9166 0.8712  3 O 2.23-2.49
7 Pb 0.3673 0.7414 0.6118  3 O 2.31-2.33
8 Pb 0.3673 0.7586 0.1118  3 O 2.31-2.33
9 Pb 0.3756 0.0606 0.6140  3 O 2.29-2.34
10 Pb 0.3756 0.4394 0.1140  3 O 2.29-2.34
11 Pb 0.6244 0.5606 0.8860  3 O 2.29-2.34
12 Pb 0.6244 0.9394 0.3860  3 O 2.29-2.34
13 Pb 0.6327 0.2414 0.8882  3 O 2.31-2.33
14 Pb 0.6327 0.2586 0.3882  3 O 2.31-2.33
15 Pb 0.8613 0.0834 0.1288  3 O 2.23-2.49
16 Pb 0.8613 0.4166 0.6288  3 O 2.23-2.49
17 Pb 0.8768 0.0896 0.6070  4 O 2.37-2.48
18 Pb 0.8768 0.4104 0.1070  4 O 2.37-2.48
19 Pb 0.8917 0.7414 0.1121  3 O 2.27-2.34
20 Pb 0.8917 0.7586 0.6121  3 O 2.27-2.34
21 S 0.3562 0.1049 0.1532  4 O 1.49-1.51
22 S 0.3562 0.3951 0.6532  4 O 1.49-1.51
23 S 0.6438 0.6049 0.3468  4 O 1.49-1.51
24 S 0.6438 0.8951 0.8468  4 O 1.49-1.51
25 O 0.1272 0.7273 0.4889  4 Pb 2.23-2.48
26 O 0.1272 0.7727 0.9889  4 Pb 2.23-2.48
27 O 0.1329 0.0838 0.4918  4 Pb 2.27-2.39
28 O 0.1329 0.4162 0.9918  4 Pb 2.27-2.39
29 O 0.1374 0.6760 0.2083  3 Pb 2.24-2.31
30 O 0.1374 0.8240 0.7083  3 Pb 2.24-2.31
31 O 0.2383 0.2027 0.1280  1 S 1.50
32 O 0.2383 0.2973 0.6280  1 S 1.50
33 O 0.2764 0.0027 0.1031  1 S 1.49
34 O 0.2764 0.4973 0.6031  1 S 1.49
35 O 0.3742 0.0914 0.2786  1 S 1.51
36 O 0.3742 0.4086 0.7786  1 S 1.51
37 O 0.3909 0.5990 0.0021  4 Pb 2.29-2.37
38 O 0.3909 0.9010 0.5021  4 Pb 2.29-2.37
39 O 0.4620 0.6286 0.3937  1 S 1.51
40 O 0.4620 0.8714 0.8937  1 S 1.51
41 O 0.5380 0.1286 0.1063  1 S 1.51
42 O 0.5380 0.3714 0.6063  1 S 1.51
43 O 0.6091 0.0990 0.4979  4 Pb 2.29-2.37
44 O 0.6091 0.4010 0.9979  4 Pb 2.29-2.37
45 O 0.6258 0.5914 0.2214  1 S 1.51
46 O 0.6258 0.9086 0.7214  1 S 1.51
47 O 0.7236 0.5027 0.3969  1 S 1.49
48 O 0.7236 0.9973 0.8969  1 S 1.49
49 O 0.7617 0.7027 0.3720  1 S 1.50
50 O 0.7617 0.7973 0.8720  1 S 1.50
51 O 0.8626 0.1760 0.2917  3 Pb 2.24-2.31
52 O 0.8626 0.3240 0.7917  3 Pb 2.24-2.31
53 O 0.8671 0.5838 0.0082  4 Pb 2.27-2.39
54 O 0.8671 0.9162 0.5082  4 Pb 2.27-2.39
55 O 0.8728 0.2273 0.0111  4 Pb 2.23-2.48
56 O 0.8728 0.2727 0.5111  4 Pb 2.23-2.48

---

# 6
First-principles (PBE) data for a relaxed CeAlIr crystal, as listed in Materials Project.

Summary:
For the total energy, the calculation gives -84.81 eV per cell. As for the space group: No. 62. The value obtained for the spin magnetization is 0.16 μB/cell.

Lattice parameters (Å, degrees): 6.8860 4.3451 7.9678 90.00 90.00 90.00
Closest atoms and distances in Å follow each position.
Fractional positions:
1 Ce 0.0354 0.2500 0.1831  5 Ir 2.85-3.04, 1 Al 3.10
2 Ce 0.4646 0.7500 0.6831  5 Ir 2.85-3.04, 1 Al 3.10
3 Ce 0.5354 0.2500 0.3169  5 Ir 2.85-3.04, 1 Al 3.10
4 Ce 0.9646 0.7500 0.8169  5 Ir 2.85-3.04, 1 Al 3.10
5 Al 0.1378 0.2500 0.5624  4 Ir 2.63-2.69
6 Al 0.3622 0.7500 0.0624  4 Ir 2.63-2.69
7 Al 0.6378 0.2500 0.9376  4 Ir 2.63-2.69
8 Al 0.8622 0.7500 0.4376  4 Ir 2.63-2.69
9 Ir 0.2383 0.7500 0.3832  4 Al 2.63-2.69, 1 Ce 2.85
10 Ir 0.2617 0.2500 0.8832  4 Al 2.63-2.69, 1 Ce 2.85
11 Ir 0.7383 0.7500 0.1168  4 Al 2.63-2.69, 1 Ce 2.85
12 Ir 0.7617 0.2500 0.6168  4 Al 2.63-2.69, 1 Ce 2.85

---

# 7
First-principles (PBE) data for a relaxed GdSi2Ru2 crystal, as listed in Materials Project.

Summary:
For the total energy, the calculation gives -48.00 eV per cell. As for the space group: No. 139.

Lattice parameters (Å, degrees): 5.6626 5.6626 5.6626 136.50 136.50 63.20
Closest atoms and distances in Å follow each position.
Fractional positions:
1 Gd 0.0000 0.0000 0.0000  8 Ru 3.20, 10 Si 3.23-3.54
2 Si 0.3673 0.3673 0.0000  4 Ru 2.38, 1 Si 2.56
3 Si 0.6327 0.6327 0.0000  4 Ru 2.38, 1 Si 2.56
4 Ru 0.2500 0.7500 0.5000  4 Si 2.38
5 Ru 0.7500 0.2500 0.5000  4 Si 2.38

---

# 8
First-principles (PBE) data for a relaxed MgO2 crystal, as listed in Materials Project.

Summary:
For the total energy, the calculation gives -64.65 eV per cell. As for the space group: No. 1. The value obtained for the spin magnetization is 0.00 μB/cell.

Lattice parameters (Å, degrees): 3.2442 6.3540 6.8360 88.40 77.55 88.91
Closest atoms and distances in Å follow each position.
Fractional positions:
1 Mg 0.0000 0.0000 0.0000  5 O 1.98-2.15
2 Mg 0.1466 0.3515 0.5025  5 O 1.98-2.15
3 Mg 0.4260 0.8096 0.6166  5 O 1.96-2.15
4 Mg 0.7241 0.5421 0.8857  5 O 1.96-2.15
5 O 0.2033 0.7122 0.9250  4 Mg 1.96-2.15
6 O 0.3696 0.0460 0.3963  1 O 1.35
7 O 0.4149 0.9976 0.2024  1 O 1.35
8 O 0.5592 0.0634 0.7924  1 O 1.52
9 O 0.5863 0.2888 0.7101  1 O 1.52
10 O 0.7322 0.3536 0.3001  1 O 1.35
11 O 0.7787 0.3056 0.1060  1 O 1.35
12 O 0.9467 0.6397 0.5775  4 Mg 1.96-2.15